(1)
# NaSr2ReO6

Crystalline NaSr2ReO6 at its relaxed geometry (PBE, the Materials Project).

a = 8.215 Å, b = 8.215 Å, c = 8.215 Å
α = 90.00°, β = 90.00°, γ = 90.00°
Space group Fm-3m (No. 225)
Inequivalent atoms, fractional coordinates:
Na 0.000 0.000 0.000 [4 per cell]
Sr 0.250 0.250 0.250 [8 per cell]
Re 0.000 0.000 0.500 [4 per cell]
O 0.000 0.000 0.269 [24 per cell]

## Properties
The calculation puts the density at 5.76 g cm⁻³. For the formation energy, the calculation gives -2.64 eV/atom.

=====

(2)
# MgB2H7

Crystalline MgB2H7 at its relaxed geometry (PBE, the Materials Project).

a = 7.884 Å, b = 8.349 Å, c = 10.180 Å
α = 89.63°, β = 88.91°, γ = 88.26°
Space group P1 (No. 1)
Inequivalent atoms, fractional coordinates:
Mg 0.000 0.000 0.000 [1 per cell]
Mg 0.101 0.457 0.175 [1 per cell]
Mg 0.515 0.046 0.751 [1 per cell]
Mg 0.712 0.356 0.230 [1 per cell]
B 0.069 0.725 0.075 [1 per cell]
B 0.264 0.046 0.877 [1 per cell]
B 0.412 0.395 0.194 [1 per cell]
B 0.551 0.124 0.553 [1 per cell]
B 0.737 0.963 0.885 [1 per cell]
B 0.859 0.537 0.359 [1 per cell]
B 0.911 0.286 0.057 [1 per cell]
B 0.955 0.190 0.189 [1 per cell]
H 0.013 0.342 0.978 [1 per cell]
H 0.014 0.510 0.350 [1 per cell]
H 0.015 0.833 0.148 [1 per cell]
H 0.095 0.161 0.233 [1 per cell]
H 0.097 0.766 0.961 [1 per cell]
H 0.128 0.058 0.824 [1 per cell]
H 0.204 0.677 0.121 [1 per cell]
H 0.263 0.032 0.997 [1 per cell]
H 0.321 0.428 0.290 [1 per cell]
H 0.334 0.922 0.833 [1 per cell]
H 0.338 0.171 0.851 [1 per cell]
H 0.340 0.381 0.089 [1 per cell]
H 0.404 0.163 0.587 [1 per cell]
H 0.480 0.262 0.219 [1 per cell]
H 0.512 0.505 0.180 [1 per cell]
H 0.567 0.975 0.566 [1 per cell]
H 0.583 0.161 0.441 [1 per cell]
H 0.649 0.187 0.630 [1 per cell]
H 0.654 0.089 0.903 [1 per cell]
H 0.669 0.866 0.814 [1 per cell]
H 0.752 0.901 0.993 [1 per cell]
H 0.766 0.325 0.026 [1 per cell]
H 0.796 0.414 0.406 [1 per cell]
H 0.802 0.575 0.251 [1 per cell]
H 0.833 0.647 0.434 [1 per cell]
H 0.844 0.147 0.268 [1 per cell]
H 0.868 0.000 0.828 [1 per cell]
H 0.960 0.624 0.070 [1 per cell]

## Properties
The calculation puts the density at 0.53 g cm⁻³. For the formation energy, the calculation gives -0.30 eV/atom.

=====

(3)
# Cs2Se

Crystalline Cs2Se at its relaxed geometry (PBE, the Materials Project).

a = 9.096 Å, b = 5.624 Å, c = 10.999 Å
α = 90.00°, β = 90.00°, γ = 90.00°
Space group Pnma (No. 62)
Inequivalent atoms, fractional coordinates:
Cs 0.024 0.250 0.171 [4 per cell]
Cs 0.146 0.250 0.574 [4 per cell]
Se 0.248 0.250 0.889 [4 per cell]

## Properties
The calculation puts the polymorph energy (0 for the lowest one) at 0.0199 eV per atom. The calculation puts the density at 4.07 g cm⁻³. For the formation energy, the calculation gives -1.19 eV/atom.

=====

(4)
# TaMnRu2

Crystalline TaMnRu2 at its relaxed geometry (PBE, the Materials Project).

a = 6.207 Å, b = 6.207 Å, c = 6.207 Å
α = 90.00°, β = 90.00°, γ = 90.00°
Space group Fm-3m (No. 225)
Inequivalent atoms, fractional coordinates:
Ta 0.000 0.000 0.000 [4 per cell]
Mn 0.000 0.000 0.500 [4 per cell]
Ru 0.250 0.250 0.250 [8 per cell]

## Properties
The calculation puts the density at 12.17 g cm⁻³. For the formation energy, the calculation gives -0.26 eV/atom.

=====

(5)
# Ti3S4

Crystalline Ti3S4 at its relaxed geometry (PBE, the Materials Project).

a = 3.4444 Å, b = 3.4444 Å, c = 11.8122 Å
α = 90.00°, β = 90.00°, γ = 120.00°
Space group P3m1 (No. 156)
Inequivalent atoms, fractional coordinates:
Ti 0.0000 0.0000 0.0000 [1 per cell]
Ti 0.0000 0.0000 0.2735 [1 per cell]
Ti 0.3333 0.6667 0.7658 [1 per cell]
S 0.0000 0.0000 0.6475 [1 per cell]
S 0.3333 0.6667 0.1395 [1 per cell]
S 0.6667 0.3333 0.3901 [1 per cell]
S 0.6667 0.3333 0.8890 [1 per cell]

## Properties
The calculation puts the polymorph energy (0 for the lowest one) at 0.0000 eV per atom. The calculation puts the density at 3.72 g cm⁻³. For the formation energy, the calculation gives -1.61 eV/atom.

=====

(6)
# Eu2MgH6

Crystalline Eu2MgH6 at its relaxed geometry (PBE, the Materials Project).

a = 5.6598 Å, b = 5.6598 Å, c = 4.2189 Å
α = 90.00°, β = 90.00°, γ = 120.00°
Space group P-3m1 (No. 164)
Inequivalent atoms, fractional coordinates:
Eu 0.3333 0.6667 0.2408 [2 per cell]
Mg 0.0000 0.0000 0.5000 [1 per cell]
H 0.1787 0.3574 0.7396 [6 per cell]

## Properties
The calculation puts the density at 4.74 g cm⁻³. For the formation energy, the calculation gives -0.53 eV/atom.

=====

(7)
# Te2MoWS2

Crystalline Te2MoWS2 at its relaxed geometry (PBE, the Materials Project).

a = 3.3598 Å, b = 3.3598 Å, c = 40.0484 Å
α = 90.00°, β = 90.00°, γ = 120.00°
Space group P3m1 (No. 156)
Inequivalent atoms, fractional coordinates:
Te 0.0000 0.0000 0.0000 [1 per cell]
Te 0.0000 0.0000 0.0943 [1 per cell]
Te 0.6667 0.3333 0.8090 [1 per cell]
Te 0.6667 0.3333 0.9040 [1 per cell]
Mo 0.6667 0.3333 0.0472 [1 per cell]
Mo 0.6667 0.3333 0.6700 [1 per cell]
W 0.0000 0.0000 0.2339 [1 per cell]
W 0.0000 0.0000 0.8565 [1 per cell]
S 0.0000 0.0000 0.6323 [1 per cell]
S 0.0000 0.0000 0.7078 [1 per cell]
S 0.6667 0.3333 0.1960 [1 per cell]
S 0.6667 0.3333 0.2718 [1 per cell]

## Properties
The calculation puts the polymorph energy (0 for the lowest one) at 0.0359 eV per atom. The calculation puts the density at 5.08 g cm⁻³. For the formation energy, the calculation gives -0.60 eV/atom.

=====

(8)
# Na2AlP4O14

Crystalline Na2AlP4O14 at its relaxed geometry (PBE, the Materials Project).

a = 4.953 Å, b = 7.549 Å, c = 8.347 Å
α = 65.99°, β = 81.35°, γ = 80.84°
Space group P-1 (No. 2)
Inequivalent atoms, fractional coordinates:
Na 0.100 0.280 0.211 [2 per cell]
Al 0.000 0.500 0.500 [1 per cell]
P 0.285 0.077 0.728 [2 per cell]
P 0.449 0.421 0.765 [2 per cell]
O 0.114 0.930 0.875 [2 per cell]
O 0.122 0.229 0.582 [2 per cell]
O 0.253 0.539 0.292 [2 per cell]
O 0.257 0.543 0.621 [2 per cell]
O 0.334 0.453 0.933 [2 per cell]
O 0.440 0.192 0.808 [2 per cell]
O 0.497 0.063 0.324 [2 per cell]

## Properties
The calculation puts the density at 2.49 g cm⁻³. For the formation energy, the calculation gives -2.49 eV/atom.

=====

(9)
# K2PdC4S4N4

Crystalline K2PdC4S4N4 at its relaxed geometry (PBE, the Materials Project).

a = 4.364 Å, b = 13.223 Å, c = 11.205 Å
α = 90.00°, β = 98.16°, γ = 90.00°
Space group P2_1/c (No. 14)
Inequivalent atoms, fractional coordinates:
K 0.191 0.145 0.030 [4 per cell]
Pd 0.500 0.000 0.500 [2 per cell]
C 0.288 0.654 0.205 [4 per cell]
C 0.471 0.575 0.727 [4 per cell]
S 0.274 0.092 0.650 [4 per cell]
S 0.374 0.665 0.066 [4 per cell]
N 0.226 0.652 0.304 [4 per cell]
N 0.301 0.565 0.636 [4 per cell]

## Properties
The calculation puts the density at 2.16 g cm⁻³. For the formation energy, the calculation gives -0.36 eV/atom.

=====

(10)
# Gd5AgSe8

Crystalline Gd5AgSe8 at its relaxed geometry (PBE, the Materials Project).

a = 8.759 Å, b = 8.759 Å, c = 8.855 Å
α = 90.00°, β = 90.00°, γ = 90.00°
Space group I-4 (No. 82)
Inequivalent atoms, fractional coordinates:
Gd 0.000 0.000 0.000 [2 per cell]
Gd 0.131 0.753 0.620 [8 per cell]
Ag 0.000 0.500 0.250 [2 per cell]
Se 0.070 0.819 0.299 [8 per cell]
Se 0.075 0.683 0.935 [8 per cell]

## Properties
The calculation puts the density at 7.46 g cm⁻³. For the formation energy, the calculation gives -1.94 eV/atom.

=====

(11)
# Y2Ga9Ru3

Crystalline Y2Ga9Ru3 at its relaxed geometry (PBE, the Materials Project).

a = 12.936 Å, b = 7.566 Å, c = 9.765 Å
α = 90.00°, β = 90.00°, γ = 90.00°
Space group Cmcm (No. 63)
Inequivalent atoms, fractional coordinates:
Y 0.163 0.167 0.250 [8 per cell]
Ga 0.000 0.127 0.750 [4 per cell]
Ga 0.000 0.338 0.060 [8 per cell]
Ga 0.106 0.443 0.750 [8 per cell]
Ga 0.164 0.171 0.577 [16 per cell]
Ru 0.000 0.000 0.000 [4 per cell]
Ru 0.175 0.500 0.000 [8 per cell]

## Properties
The calculation puts the density at 7.70 g cm⁻³. For the formation energy, the calculation gives -0.54 eV/atom.

=====

(12)
# Dy3C4

Crystalline Dy3C4 at its relaxed geometry (PBE, the Materials Project).

a = 8.122 Å, b = 8.122 Å, c = 15.986 Å
α = 90.00°, β = 90.00°, γ = 90.00°
Space group P4/mnc (No. 128)
Inequivalent atoms, fractional coordinates:
Dy 0.000 0.000 0.000 [2 per cell]
Dy 0.000 0.000 0.312 [4 per cell]
Dy 0.095 0.297 0.500 [8 per cell]
Dy 0.101 0.712 0.147 [16 per cell]
C 0.000 0.000 0.156 [4 per cell]
C 0.000 0.000 0.459 [4 per cell]
C 0.099 0.308 0.328 [16 per cell]
C 0.106 0.696 0.000 [8 per cell]
C 0.150 0.350 0.250 [8 per cell]

## Properties
The calculation puts the density at 8.43 g cm⁻³. For the formation energy, the calculation gives -0.32 eV/atom.

=====

(13)
# VCrCo

Crystalline VCrCo at its relaxed geometry (PBE, the Materials Project).

a = 7.744 Å, b = 4.678 Å, c = 7.968 Å
α = 90.00°, β = 90.00°, γ = 90.00°
Space group Amm2 (No. 38)
Inequivalent atoms, fractional coordinates:
V 0.184 0.000 0.000 [4 per cell]
V 0.309 0.000 0.669 [4 per cell]
Cr 0.000 0.000 0.500 [2 per cell]
Cr 0.500 0.000 0.159 [2 per cell]
Cr 0.500 0.243 0.917 [4 per cell]
Co 0.000 0.246 0.739 [4 per cell]
Co 0.244 0.000 0.331 [4 per cell]

## Properties
The calculation puts the density at 7.45 g cm⁻³. For the formation energy, the calculation gives -0.03 eV/atom.

=====

(14)
# IrPtN5Cl5

Crystalline IrPtN5Cl5 at its relaxed geometry (PBE, the Materials Project).

a = 18.622 Å, b = 8.268 Å, c = 7.839 Å
α = 90.00°, β = 90.00°, γ = 90.00°
Space group Pnma (No. 62)
Inequivalent atoms, fractional coordinates:
Ir 0.111 0.250 0.148 [4 per cell]
Pt 0.200 0.250 0.571 [4 per cell]
N 0.033 0.094 0.327 [8 per cell]
N 0.146 0.076 0.054 [8 per cell]
N 0.157 0.250 0.365 [4 per cell]
Cl 0.000 0.250 0.399 [4 per cell]
Cl 0.010 0.250 0.968 [4 per cell]
Cl 0.192 0.524 0.616 [8 per cell]
Cl 0.215 0.750 0.275 [4 per cell]

## Properties
The calculation puts the density at 3.49 g cm⁻³. For the formation energy, the calculation gives 0.81 eV/atom.